Version w
Mg14BiC, optimized geometry, DFT PBE; space-group type = No. 187; total moment = 0.0 μB/cell
1.0
6.323 0.000 0.000
-3.161 5.476 0.000
0.000 0.000 10.068
Mg Bi C
14 1 1
direct
0.833 0.667 0.874
0.329 0.658 0.900
0.833 0.667 0.376
0.170 0.835 0.625
0.842 0.171 0.350
0.665 0.835 0.625
0.329 0.658 0.350
0.673 0.827 0.125
0.842 0.171 0.900
0.155 0.827 0.125
0.673 0.345 0.125
0.665 0.330 0.625
0.329 0.171 0.350
0.329 0.171 0.900
0.167 0.333 0.625
0.167 0.333 0.125

---

Version x
Mg14BiC, optimized geometry, DFT PBE; space-group type = No. 38; total moment = 0.0 μB/cell
1.0
3.650 -5.152 0.000
3.650 5.152 0.000
0.000 0.000 10.060
Mg C Bi
14 1 1
direct
0.147 0.332 0.249
0.657 0.343 0.280
0.834 0.615 0.000
0.922 0.662 0.500
0.657 0.343 0.720
0.668 0.853 0.751
0.864 0.136 0.000
0.385 0.166 0.000
0.668 0.853 0.249
0.158 0.842 0.768
0.158 0.842 0.232
0.338 0.078 0.500
0.358 0.642 0.000
0.147 0.332 0.751
0.640 0.360 0.500
0.398 0.602 0.500

---

Version y
Mg14BiC, optimized geometry, DFT PBE; space-group type = No. 38; total moment = 0.0 μB/cell
1.0
-3.386 -3.157 4.604
1.230 -2.813 -6.132
8.207 -3.836 3.405
Mg C Bi
14 1 1
direct
0.188 0.344 0.625
0.830 0.665 0.389
0.332 0.643 0.359
0.332 0.643 0.891
0.194 0.847 0.625
0.332 0.189 0.891
0.830 0.665 0.861
0.681 0.860 0.625
0.721 0.838 0.125
0.849 0.174 0.351
0.681 0.321 0.625
0.721 0.383 0.125
0.332 0.189 0.359
0.849 0.174 0.899
0.909 0.204 0.125
0.222 0.861 0.125

---

Relative to the most stable structure, the computed energies are version w 8.1; version x 0.0; version y 1.6, all in kJ/mol of atoms.

---

Version w
NaCaCeBiO6, optimized geometry, DFT PBE; space-group type = No. 118; total moment = 0.0 μB/cell
1.0
-1.339 3.998 -4.122
-5.710 -1.371 0.526
-0.882 6.026 6.132
O Bi Na Ca Ce
12 2 2 2 2
direct
0.821 0.334 0.483
0.500 0.500 0.745
0.321 0.166 0.983
0.666 0.821 0.517
0.000 0.000 0.245
0.000 0.000 0.755
0.500 0.500 0.255
0.179 0.666 0.483
0.679 0.834 0.983
0.834 0.321 0.017
0.334 0.179 0.517
0.166 0.679 0.017
0.000 0.000 0.000
0.500 0.500 0.500
0.000 0.500 0.750
0.500 0.000 0.250
0.500 0.000 0.750
0.000 0.500 0.250
0.500 0.500 0.000
0.000 0.000 0.500

---

Version x
NaCaCeBiO6, optimized geometry, DFT PBE; space-group type = No. 48; total moment = 0.0 μB/cell
1.0
-4.708 1.443 6.839
6.703 -1.355 4.899
1.937 8.174 -0.391
Na O Ce Ca Bi
4 24 4 4 4
direct
0.500 0.000 0.000
0.000 0.000 0.500
0.500 0.500 0.000
0.000 0.500 0.500
0.814 0.710 0.993
0.994 0.809 0.717
0.793 0.494 0.304
0.686 0.210 0.493
0.494 0.309 0.783
0.293 0.994 0.196
0.994 0.191 0.283
0.506 0.691 0.783
0.814 0.290 0.007
0.207 0.494 0.696
0.186 0.290 0.993
0.314 0.210 0.507
0.793 0.506 0.696
0.686 0.790 0.507
0.293 0.006 0.804
0.186 0.710 0.007
0.006 0.191 0.717
0.314 0.790 0.493
0.707 0.006 0.196
0.506 0.309 0.217
0.707 0.994 0.804
0.006 0.809 0.283
0.494 0.691 0.217
0.207 0.506 0.304
0.250 0.250 0.250
0.750 0.750 0.250
0.250 0.750 0.750
0.750 0.250 0.750
0.500 0.000 0.500
0.000 0.500 0.000
0.500 0.500 0.500
0.000 0.000 0.000
0.750 0.750 0.750
0.250 0.750 0.250
0.750 0.250 0.250
0.250 0.250 0.750

---

Relative to the most stable structure, the computed energies are version w 2.0; version x 0.0, all in kJ/mol of atoms.

---

Version w
Sr2CaCu2Bi2O8, optimized geometry, DFT PBE; space-group type = No. 139; total moment = 0.0 μB/cell
1.0
-9.909 9.259 8.730
-13.164 5.185 7.742
12.366 -8.423 -6.020
O Bi Cu Sr Ca
8 2 2 2 1
direct
0.050 0.550 0.500
0.803 0.803 0.000
0.450 0.950 0.500
0.550 0.050 0.500
0.633 0.633 0.000
0.950 0.450 0.500
0.367 0.367 0.000
0.197 0.197 0.000
0.698 0.698 0.000
0.302 0.302 0.000
0.548 0.548 0.000
0.452 0.452 0.000
0.892 0.892 0.000
0.108 0.108 0.000
0.000 0.000 0.000

---

Version x
Sr2CaCu2Bi2O8, optimized geometry, DFT PBE; space-group type = No. 37; total moment = 0.0 μB/cell
1.0
13.117 7.079 6.123
-14.424 -7.139 -0.808
2.368 -4.844 0.527
Sr O Bi Cu Ca
4 16 4 4 2
direct
0.895 0.607 0.994
0.607 0.895 0.494
0.105 0.393 0.994
0.393 0.105 0.494
0.301 0.699 0.748
0.875 0.644 0.484
0.199 0.801 0.747
0.718 0.612 0.037
0.199 0.801 0.247
0.699 0.301 0.748
0.801 0.199 0.747
0.125 0.356 0.484
0.356 0.125 0.984
0.301 0.699 0.248
0.612 0.718 0.537
0.282 0.388 0.037
0.699 0.301 0.248
0.644 0.875 0.984
0.388 0.282 0.537
0.801 0.199 0.247
0.775 0.672 0.441
0.328 0.225 0.941
0.225 0.328 0.441
0.672 0.775 0.941
0.451 0.049 0.998
0.049 0.451 0.498
0.549 0.951 0.998
0.951 0.549 0.498
0.000 0.500 0.999
0.500 0.000 0.499

---

Relative to the most stable structure, the computed energies are version w 4.0; version x 0.0, all in kJ/mol of atoms.

---

Version w
CaMg6BiO8, optimized geometry, DFT PBE; space-group type = No. 123; total moment = 0.0 μB/cell
1.0
-6.598 -3.451 5.838
1.492 -4.189 -0.790
2.873 0.370 3.465
Mg Ca O Bi
6 1 8 1
direct
0.281 0.000 0.500
0.281 0.500 0.000
0.500 0.000 0.000
0.500 0.500 0.500
0.719 0.500 0.000
0.719 0.000 0.500
0.000 0.000 0.000
0.269 0.000 0.000
0.000 0.000 0.500
0.712 0.500 0.500
0.731 0.000 0.000
0.000 0.500 0.000
0.288 0.500 0.500
0.500 0.000 0.500
0.500 0.500 0.000
0.000 0.500 0.500

---

Version x
CaMg6BiO8, optimized geometry, DFT PBE; space-group type = No. 123; total moment = 0.0 μB/cell
1.0
-4.421 4.816 -6.301
-3.658 -2.761 0.456
-1.674 2.760 3.284
Mg O Bi Ca
6 8 1 1
direct
0.240 0.500 0.000
0.760 0.000 0.500
0.760 0.500 0.000
0.000 0.500 0.500
0.240 0.000 0.500
0.500 0.500 0.500
0.250 0.500 0.500
0.757 0.000 0.000
0.750 0.500 0.500
0.500 0.500 0.000
0.500 0.000 0.500
0.000 0.000 0.500
0.000 0.500 0.000
0.243 0.000 0.000
0.500 0.000 0.000
0.000 0.000 0.000

---

Relative to the most stable structure, the computed energies are version w 0.0; version x 4.9, all in kJ/mol of atoms.

---

Version w
Na3Ca2BiO6, optimized geometry, DFT PBE; space-group type = No. 70; total moment = 0.0 μB/cell
1.0
-10.307 -2.147 -3.847
-10.509 1.497 0.841
-1.067 3.019 -5.004
Na Ca O Bi
6 4 12 2
direct
0.337 0.337 0.663
0.587 0.587 0.913
0.913 0.913 0.587
0.750 0.750 0.750
0.663 0.663 0.337
0.500 0.500 0.500
0.419 0.419 0.081
0.169 0.169 0.831
0.081 0.081 0.419
0.831 0.831 0.169
0.223 0.777 0.223
0.098 0.557 0.393
0.557 0.098 0.953
0.693 0.152 0.297
0.857 0.297 0.152
0.953 0.393 0.557
0.152 0.693 0.857
0.473 0.027 0.473
0.777 0.223 0.777
0.393 0.953 0.098
0.297 0.857 0.693
0.027 0.473 0.027
0.000 0.000 0.000
0.250 0.250 0.250

---

Version x
Na3Ca2BiO6, optimized geometry, DFT PBE; space-group type = No. 1; total moment = 0.0 μB/cell
1.0
0.000 4.875 10.093
3.395 0.000 10.093
3.395 4.875 0.000
O Ca Bi Na
12 4 2 6
direct
0.283 0.719 0.281
0.788 0.365 0.198
0.450 0.891 0.063
0.535 0.964 0.522
0.353 0.805 0.651
0.188 0.655 0.807
0.654 0.196 0.352
0.885 0.461 0.604
0.980 0.519 0.974
0.059 0.593 0.446
0.603 0.049 0.889
0.716 0.282 0.721
0.338 0.327 0.666
0.923 0.918 0.571
0.673 0.662 0.327
0.585 0.578 0.925
0.496 0.507 0.505
0.749 0.747 0.756
0.001 0.000 0.008
0.259 0.244 0.246
0.155 0.170 0.836
0.841 0.834 0.154
0.405 0.417 0.092
0.082 0.087 0.415

---

Relative to the most stable structure, the computed energies are version w 0.0; version x 0.9, all in kJ/mol of atoms.

---

Version w
Ca2Bi10O17, optimized geometry, DFT PBE; space-group type = No. 1; total moment = 0.0 μB/cell
1.0
-1.436 -3.759 6.641
-1.710 7.688 -0.326
-8.126 -2.022 -5.066
O Bi Ca
17 10 2
direct
0.333 0.168 0.903
0.721 0.858 0.110
0.195 0.326 0.112
0.604 0.554 0.323
0.798 0.626 0.895
0.297 0.670 0.896
0.958 0.956 0.737
0.496 0.773 0.594
0.709 0.361 0.114
0.210 0.865 0.111
0.608 0.063 0.303
0.111 0.556 0.303
0.633 0.318 0.590
0.107 0.045 0.348
0.812 0.168 0.890
0.415 0.462 0.739
0.050 0.283 0.588
0.524 0.498 0.995
0.241 0.144 0.673
0.779 0.389 0.338
0.018 0.011 0.982
0.749 0.108 0.664
0.283 0.887 0.330
0.227 0.608 0.676
0.774 0.886 0.328
0.273 0.380 0.332
0.705 0.616 0.669
0.017 0.508 0.019
0.521 0.012 0.019

---

Version x
Ca2Bi10O17, optimized geometry, DFT PBE; space-group type = No. 8; total moment = 0.0 μB/cell
1.0
4.045 6.761 0.000
-4.045 6.761 0.000
0.000 1.855 9.694
Bi O Ca
10 17 2
direct
0.123 0.651 0.314
0.500 0.999 0.983
0.147 0.147 0.318
0.999 0.500 0.983
0.904 0.369 0.675
0.609 0.609 0.324
0.369 0.904 0.675
0.651 0.123 0.314
0.377 0.377 0.679
0.876 0.876 0.682
0.222 0.222 0.605
0.871 0.347 0.894
0.144 0.690 0.102
0.339 0.339 0.902
0.382 0.382 0.293
0.834 0.834 0.901
0.150 0.150 0.107
0.836 0.260 0.358
0.027 0.027 0.722
0.260 0.836 0.358
0.045 0.556 0.731
0.541 0.541 0.724
0.347 0.871 0.894
0.690 0.144 0.102
0.640 0.640 0.107
0.556 0.045 0.731
0.764 0.764 0.344
0.005 0.005 0.983
0.503 0.503 0.979

---

Relative to the most stable structure, the computed energies are version w 0.0; version x 2.2, all in kJ/mol of atoms.